Entry 1:
Entry from Materials Project: a geometry-optimized EuHg2 structure (PBE).

Cell and atoms, written as extended XYZ:
```
3
Lattice="5.1180 0.0000 0.0000 -2.5590 4.4323 0.0000 0.0000 0.0000 3.7267" Properties=species:S:1:pos:R:3 pbc="T T T"
Eu 0.0000 0.0000 0.0000
Hg 0.0000 2.9549 1.8634
Hg 2.5590 1.4774 1.8634
```

## Properties
energy of formation from the pure elements	-466	meV/atom
space group	P6/mmm, No. 191
total DFT energy (no corrections)	-4.0871	eV per atom
theoretical density	10.865	g/cm3

Entry 2:
Entry from Materials Project: a geometry-optimized Ba2La3Si3O12F structure (PBE).

Cell and atoms, written as extended XYZ:
```
84
Lattice="10.0103 0.0000 0.0000 4.9554 8.7011 0.0000 0.0029 0.0219 14.9073" Properties=species:S:1:pos:R:3 pbc="T T T"
Ba 0.0000 0.0000 0.0000
Ba 0.0212 0.0196 3.6748
Ba 5.0110 2.9448 14.8835
Ba 5.0141 2.9109 3.7041
Ba 5.0347 2.9085 7.4067
Ba 7.5278 5.9746 9.2923
Ba 11.3364 7.8824 9.3011
Ba 12.4497 5.6868 13.0294
La 4.9744 8.7044 7.4400
La 5.0384 2.9135 11.1140
La 7.4536 5.8834 1.8213
La 8.7280 8.1262 12.9895
La 8.7392 8.0982 5.5882
La 8.6663 3.6154 5.6080
La 8.6757 3.6503 12.9825
La 11.3209 8.0190 1.8060
La 11.2445 3.5628 1.8395
La 11.2528 3.5457 9.3071
La 12.5627 5.7574 5.5775
La 14.9228 8.6811 11.1939
Si 1.6481 2.4301 5.6028
Si 1.6988 2.3684 12.9362
Si 3.7265 5.5762 1.8951
Si 3.8335 5.5276 9.2809
Si 6.2368 6.1270 12.9812
Si 6.2481 6.1091 5.5509
Si 3.2507 0.6214 9.3160
Si 3.3401 0.4615 1.8408
Si 7.8962 2.5958 9.3268
Si 7.9627 2.6866 1.8391
Si 7.1626 0.3520 12.9866
Si 7.1603 0.2322 5.5576
O 2.8770 5.0048 10.5130
O 2.9532 5.1135 7.9304
O 2.9222 5.0181 3.2364
O 2.8819 4.9127 0.6473
O 4.1963 7.1610 9.2823
O 4.7268 6.7743 5.6253
O 4.7938 6.9010 12.9095
O 3.0831 3.2000 5.5863
O 1.7258 0.7098 12.9235
O 1.7985 0.7757 5.6499
O 3.2426 2.9133 12.8370
O 1.6628 0.1187 9.2989
O 3.0953 2.0963 1.8497
O 3.2559 2.2805 9.3743
O 6.8811 8.3465 1.8325
O 5.2708 4.9811 1.8681
O 5.2301 4.6792 9.4008
O 7.0308 6.8072 6.8239
O 7.1187 6.7866 11.7545
O 7.0879 6.6391 4.2271
O 7.0785 6.5513 14.3491
O 6.0955 4.4772 12.8584
O 6.2358 4.4760 5.5867
O 4.0314 0.0885 7.9679
O 4.0689 0.1460 10.6667
O 4.2528 0.0461 0.5155
O 4.2598 0.0362 3.1558
O 5.7945 1.2711 12.8497
O 5.7562 1.0716 5.5886
O 6.4526 1.8209 9.4126
O 6.6623 1.6681 1.8499
O 7.8690 3.6861 0.5115
O 7.8769 3.6940 3.1561
O 7.9406 3.5474 10.6835
O 7.9651 3.5253 7.9586
O 12.0556 8.1681 14.3757
O 12.1513 7.9488 4.2293
O 12.3560 8.0686 11.7022
O 8.4966 1.2245 5.6317
O 8.5361 1.2997 12.9793
O 12.3247 7.9130 6.8346
O 9.1884 1.5307 9.2996
O 9.3795 1.8651 1.8316
O 10.7476 2.9021 4.3036
O 10.7462 2.8012 6.9444
O 10.7716 2.8250 11.6401
O 10.8893 2.9394 14.2572
O 13.7247 7.2094 1.8374
F 9.7708 5.8613 12.9834
F 9.9855 5.8229 5.6113
F 10.0061 5.8127 1.8333
F 10.0985 5.5790 9.3050
```

## Properties
energy of formation from the pure elements	-3675	meV/atom
magnetization	0.00	μB per formula unit
space group	P1, No. 1
total DFT energy (no corrections)	-7.8419	eV per atom
theoretical density	5.047	g/cm3

Entry 3:
Entry from Materials Project: a geometry-optimized Na3Y2Ta2SiP5O24 structure (PBE).

Cell and atoms, written as extended XYZ:
```
111
Lattice="9.0622 0.0000 0.0000 -4.5280 7.8627 0.0000 -0.0314 -0.0463 22.9286" Properties=species:S:1:pos:R:3 pbc="T T T"
Na 0.0000 0.0000 0.0000
Na -2.9474 5.1693 5.6023
Na -1.2639 2.3120 11.3159
Na -2.7911 5.1282 17.0985
Na 0.2077 4.9418 7.5546
Na 1.8354 2.3656 9.4216
Na 1.7660 2.5871 20.8754
Na 1.5931 7.5303 13.2670
Na 1.6201 7.6623 1.8108
Y -2.7843 5.1160 2.3638
Y -2.8049 5.1629 13.8584
Y 1.7255 2.4576 6.1332
Y 1.6989 2.4880 17.6506
Y 1.6318 7.7267 21.4137
Y 1.7383 7.7234 9.9736
Ta -2.8425 5.0842 20.5180
Ta -2.8121 5.1160 9.0878
Ta 1.7298 2.5194 12.9101
Ta 1.7621 2.5839 1.4415
Ta 1.7151 7.7369 16.7181
Ta 1.7687 7.8142 5.2499
Si -0.1059 5.0694 11.4631
Si 3.5851 5.0362 22.8976
Si 7.5225 2.2781 7.6901
P -4.0207 7.4888 11.4431
P -1.3871 2.8682 22.8644
P 0.2834 0.2519 3.7461
P -0.9505 2.3572 15.2471
P -1.6043 7.4564 22.9023
P 3.1581 0.2731 15.2788
P 0.5216 4.9072 3.8418
P 0.2614 5.4914 19.0482
P -0.9264 7.6464 7.5947
P 2.9207 4.8598 15.2781
P 4.3934 2.3826 3.7939
P 3.1571 5.5215 7.5476
P 5.0274 2.2602 19.0494
P 4.8285 2.9139 11.4402
P 4.3640 7.6041 19.1141
O -3.8439 6.6595 12.6830
O -1.9570 3.4970 1.1862
O -1.9489 3.4889 15.1121
O -3.7135 6.6948 3.6822
O -3.4524 6.7324 10.1667
O -1.7264 3.7843 21.6037
O 0.6268 1.1227 2.4597
O 0.0113 2.2118 13.9570
O 0.7901 0.9067 18.9440
O 0.8229 0.9275 4.9787
O -0.0889 2.5506 16.4600
O 0.0139 2.6640 7.5076
O -2.2352 6.6821 21.6472
O -1.1617 4.8916 10.0931
O 0.2201 2.8553 0.1025
O 1.2903 0.9973 11.5857
O -1.3043 5.4778 19.1563
O -1.7432 6.2948 7.6943
O -1.0562 5.1416 12.7145
O -0.9648 5.1302 3.6630
O -1.8881 6.7154 15.1549
O -1.7836 6.6847 1.2158
O 2.1330 0.9978 0.0964
O 0.7204 3.5919 11.6056
O 2.6063 0.9065 16.5208
O 0.7795 4.0730 18.9019
O 0.7669 4.1564 5.1287
O 2.6388 0.9468 7.4681
O 1.1215 4.0358 2.6111
O 2.7910 1.1813 14.0167
O 0.0574 7.4609 6.3482
O 0.8437 6.0898 20.3030
O 0.6614 6.4272 17.8039
O -0.1008 7.7903 8.8447
O -0.1382 7.7982 22.7366
O 0.9478 6.2547 11.3770
O 3.3923 2.2538 2.5407
O 2.3113 4.0690 14.0080
O 2.7311 3.6779 0.1897
O 4.7415 0.2196 15.3968
O 1.2818 6.2729 3.8721
O 3.2732 2.8137 11.5824
O 2.6089 4.1149 7.3644
O 2.6533 4.0473 16.5065
O 3.5463 2.5525 18.9055
O 3.5806 2.5843 5.0374
O 5.1898 1.0230 3.9108
O 2.1616 6.2451 15.3917
O 2.4531 6.0872 8.7694
O 5.2675 1.4795 20.3096
O 2.6121 6.3057 22.7535
O 5.4342 1.5278 11.2524
O 5.6315 1.4471 17.8079
O 2.7821 6.4457 6.2982
O 5.1521 3.8464 10.1714
O 4.3993 5.1291 15.1200
O 5.3846 3.5146 3.6270
O 4.6311 4.8394 21.5534
O 5.4500 3.5357 12.6562
O 4.5405 5.3693 1.2189
O 6.8790 1.3748 6.3780
O 3.3418 7.4796 17.8834
O 7.7614 0.2107 3.8913
O 4.7006 5.5177 7.7100
O 7.3137 0.9952 15.4073
O 5.8166 3.6302 19.1558
O 7.2107 1.4269 22.6884
O 8.0923 -0.0078 11.2976
O 3.5954 7.7720 20.4055
O 7.3193 1.5107 9.0644
O 5.1941 6.2611 19.1876
O 6.6814 3.7318 7.7845
```

## Properties
energy of formation from the pure elements	-3055	meV/atom
magnetization	0.00	μB per formula unit
space group	P1, No. 1
total DFT energy (no corrections)	-7.7949	eV per atom
theoretical density	3.585	g/cm3

Entry 4:
Entry from Materials Project: a geometry-optimized Na3YSiSnP2O12 structure (PBE).

Cell and atoms, written as extended XYZ:
```
120
Lattice="8.0096 -4.6342 0.0000 8.0096 4.6342 0.0000 -0.1814 0.0000 22.6126" Properties=species:S:1:pos:R:3 pbc="T T T"
Na 7.9189 4.5935 11.3063
Na 5.1495 2.9453 5.5750
Na 5.5462 3.0544 20.8221
Na 2.6770 1.3349 9.2366
Na 2.5863 -1.3349 20.5429
Na 5.2710 0.0579 7.5428
Na 5.1803 -0.0579 18.8491
Na 10.5444 2.8735 13.2671
Na 7.9583 1.3235 16.8898
Na 5.0588 -2.9453 16.8813
Na 8.0491 -1.3235 5.5835
Na 10.6875 0.1431 3.7672
Na 10.5968 -0.1431 15.0735
Na 5.6369 -3.0544 9.5158
Na 13.3912 1.2024 1.7462
Na 13.3005 -1.2024 13.0525
Na 10.6351 -2.8735 1.9608
Na 8.0096 -4.5935 0.0000
Y 8.0746 4.5159 7.9532
Y 5.2481 0.0045 15.5068
Y 5.3388 -0.0045 4.2005
Y 10.7064 0.0073 0.4087
Y 10.6157 -0.0073 11.7150
Y 7.9839 -4.5159 19.2595
Si 5.5189 2.7817 1.8928
Si 10.3357 3.1615 17.0084
Si 5.4282 -2.7817 13.1991
Si 12.9787 1.4743 20.7907
Si 13.0695 -1.4743 9.4844
Si 10.4264 -3.1615 5.7021
Sn 0.0118 0.0724 14.6810
Sn 0.1026 -0.0724 3.3747
Sn 5.3185 0.0126 22.2107
Sn 5.4092 -0.0126 10.9044
Sn 10.6233 0.0277 18.4492
Sn 10.7140 -0.0277 7.1429
P 2.8865 1.2770 13.0955
P 8.1861 1.8387 5.6026
P 7.6578 1.4974 13.2691
P 2.9773 -1.2770 1.7892
P 8.1356 1.2970 20.6138
P 10.8321 2.7522 9.4574
P 7.7485 -1.4974 1.9628
P 8.2264 -1.2970 9.3075
P 8.0954 -1.8387 16.9089
P 13.6468 1.2731 5.6663
P 10.7414 -2.7522 20.7637
P 13.5561 -1.2731 16.9726
O 1.7033 0.9882 7.0541
O 6.3313 3.6923 18.2399
O 1.5946 0.8601 20.6374
O 6.8617 3.7637 1.9543
O 1.5454 0.4708 13.2234
O 5.3131 1.8807 3.2061
O 3.7939 1.0333 14.2943
O 3.9573 0.9433 5.6569
O 4.0932 1.0949 20.7400
O 5.4566 1.8414 16.8630
O 1.6361 -0.4708 1.9171
O 3.5587 0.6678 11.8024
O 5.6716 1.8364 0.5070
O 7.7265 3.0721 13.2590
O 5.0919 1.4893 9.5278
O 7.9519 2.8328 20.5800
O 7.8583 2.7060 6.8051
O 1.6853 -0.8601 9.3311
O 9.3907 3.5288 15.6515
O 1.6126 -0.9882 18.3604
O 8.3563 2.7157 4.3182
O 3.6494 -0.6678 0.4961
O 6.7227 1.1687 12.0464
O 7.0514 1.0165 14.5758
O 3.8665 -0.9433 16.9632
O 7.0278 0.8269 5.4813
O 3.8846 -1.0333 2.9880
O 6.7193 0.6512 20.7230
O 4.1839 -1.0949 9.4336
O 10.6705 2.0059 10.7812
O 9.0228 0.9713 21.8001
O 9.0958 0.9676 13.1286
O 10.7405 1.8513 1.7146
O 8.7830 0.7458 19.2858
O 5.0011 -1.4893 20.8341
O 9.5164 1.0329 5.7495
O 10.3735 1.4749 16.9607
O 10.9505 1.7500 8.2531
O 6.8100 -0.6512 9.4167
O 6.9371 -0.8269 16.7876
O 5.2224 -1.8807 14.5124
O 5.5473 -1.8414 5.5567
O 5.5809 -1.8364 11.8133
O 6.8134 -1.1687 0.7401
O 7.1422 -1.0165 3.2695
O 11.9991 1.1889 19.4340
O 8.8737 -0.7458 7.9795
O 12.1121 0.8764 13.1408
O 9.1135 -0.9713 10.4937
O 9.1865 -0.9676 1.8223
O 12.2564 0.8961 22.1120
O 12.2345 0.5909 5.7184
O 9.4257 -1.0329 17.0558
O 7.7675 -2.7060 18.1114
O 6.4220 -3.6923 6.9336
O 8.0427 -2.8328 9.2737
O 10.4642 -1.4749 5.6544
O 8.2656 -2.7157 15.6245
O 7.8173 -3.0721 1.9527
O 12.1438 -0.5909 17.0247
O 14.4254 0.7439 20.7094
O 14.3372 0.6065 4.4040
O 6.7710 -3.7637 13.2606
O 12.2029 -0.8764 1.8344
O 10.6498 -1.8513 13.0209
O 12.3471 -0.8961 10.8057
O 10.8598 -1.7500 19.5594
O 12.0899 -1.1889 8.1277
O 10.5798 -2.0059 22.0875
O 14.2465 -0.6065 15.7103
O 9.4814 -3.5288 4.3452
O 14.5161 -0.7439 9.4030
```

## Properties
energy of formation from the pure elements	-2802	meV/atom
excess energy over the best structure of this formula in the dataset	0	meV per atom
magnetization	0.00	μB per formula unit
space group	Cc, No. 9
total DFT energy (no corrections)	-6.8938	eV per atom
theoretical density	3.315	g/cm3